This record from Materials Project describes a relaxed Zr14As9 crystal. The functional is PBE-GGA.

Cell: 17.2646 28.4803 3.8087 Å, 90.00 90.00 90.00°
Atoms (fractional coordinates):
Zr 0.0000 0.0000 0.0000
Zr 0.0000 0.5000 0.5000
Zr 0.0130 0.1970 0.5000
Zr 0.0195 0.6773 0.5000
Zr 0.0502 0.5790 0.0000
Zr 0.0685 0.9257 0.5000
Zr 0.0993 0.1041 0.0000
Zr 0.1178 0.7558 0.0000
Zr 0.1341 0.4694 0.0000
Zr 0.1382 0.3527 0.0000
Zr 0.1664 0.2626 0.5000
Zr 0.1993 0.9912 0.0000
Zr 0.2025 0.8575 0.0000
Zr 0.2324 0.6881 0.5000
Zr 0.2471 0.5834 0.0000
Zr 0.2529 0.0834 0.5000
Zr 0.2676 0.1881 0.0000
Zr 0.2975 0.3575 0.5000
Zr 0.3007 0.4912 0.5000
Zr 0.3336 0.7626 0.0000
Zr 0.3618 0.8527 0.5000
Zr 0.3659 0.9694 0.5000
Zr 0.3822 0.2558 0.5000
Zr 0.4007 0.6041 0.5000
Zr 0.4315 0.4257 0.0000
Zr 0.4498 0.0790 0.5000
Zr 0.4805 0.1773 0.0000
Zr 0.4870 0.6970 0.0000
Zr 0.5000 0.0000 0.0000
Zr 0.5000 0.5000 0.5000
Zr 0.5130 0.3030 0.0000
Zr 0.5195 0.8227 0.0000
Zr 0.5502 0.9210 0.5000
Zr 0.5685 0.5743 0.0000
Zr 0.5993 0.3959 0.5000
Zr 0.6178 0.7442 0.5000
Zr 0.6341 0.0306 0.5000
Zr 0.6382 0.1473 0.5000
Zr 0.6664 0.2374 0.0000
Zr 0.6993 0.5088 0.5000
Zr 0.7025 0.6425 0.5000
Zr 0.7324 0.8119 0.0000
Zr 0.7471 0.9166 0.5000
Zr 0.7529 0.4166 0.0000
Zr 0.7676 0.3119 0.5000
Zr 0.7975 0.1425 0.0000
Zr 0.8007 0.0088 0.0000
Zr 0.8336 0.7374 0.5000
Zr 0.8618 0.6473 0.0000
Zr 0.8659 0.5306 0.0000
Zr 0.8822 0.2442 0.0000
Zr 0.9007 0.8959 0.0000
Zr 0.9315 0.0743 0.5000
Zr 0.9498 0.4210 0.0000
Zr 0.9805 0.3227 0.5000
Zr 0.9870 0.8030 0.5000
As 0.0481 0.2665 0.0000
As 0.0491 0.8570 0.0000
As 0.0641 0.4078 0.5000
As 0.1041 0.0326 0.5000
As 0.1328 0.6572 0.0000
As 0.1556 0.5385 0.5000
As 0.1584 0.1654 0.5000
As 0.2255 0.7862 0.5000
As 0.2325 0.9222 0.5000
As 0.2675 0.4222 0.0000
As 0.2745 0.2862 0.0000
As 0.3416 0.6654 0.0000
As 0.3444 0.0385 0.0000
As 0.3672 0.1572 0.5000
As 0.3959 0.5326 0.0000
As 0.4359 0.9078 0.0000
As 0.4509 0.3570 0.5000
As 0.4519 0.7665 0.5000
As 0.5481 0.2335 0.5000
As 0.5491 0.6430 0.5000
As 0.5641 0.0922 0.0000
As 0.6041 0.4674 0.0000
As 0.6328 0.8428 0.5000
As 0.6556 0.9615 0.0000
As 0.6584 0.3346 0.0000
As 0.7255 0.7138 0.0000
As 0.7325 0.5778 0.0000
As 0.7675 0.0778 0.5000
As 0.7745 0.2138 0.5000
As 0.8416 0.8346 0.5000
As 0.8444 0.4615 0.5000
As 0.8672 0.3428 0.0000
As 0.8959 0.9674 0.5000
As 0.9359 0.5922 0.5000
As 0.9509 0.1430 0.0000
As 0.9519 0.7335 0.0000

magnetic moment = 0.002 μB per atom
calculated volume = 1872.8 Å³ per cell
SG = Pnnm (58)
calculated formation energy = -1043.0 meV/atom
crystal system = orthorhombic

This record from Materials Project describes a relaxed Zr8As5 crystal. The functional is PBE-GGA.

Cell: 3.7349 10.2127 28.8009 Å, 90.00 90.00 90.00°
Atoms (fractional coordinates):
Zr 0.0000 0.0020 0.0180
Zr 0.0000 0.1634 0.9056
Zr 0.0000 0.2485 0.7352
Zr 0.0000 0.2542 0.1784
Zr 0.0000 0.3394 0.5645
Zr 0.0000 0.4965 0.4512
Zr 0.0000 0.5035 0.9512
Zr 0.0000 0.6606 0.0645
Zr 0.0000 0.7458 0.6784
Zr 0.0000 0.7515 0.2352
Zr 0.0000 0.8366 0.4056
Zr 0.0000 0.9980 0.5180
Zr 0.5000 0.0236 0.2422
Zr 0.5000 0.0740 0.1153
Zr 0.5000 0.0886 0.3611
Zr 0.5000 0.2421 0.6526
Zr 0.5000 0.2450 0.4705
Zr 0.5000 0.2552 0.0000
Zr 0.5000 0.2589 0.8175
Zr 0.5000 0.4148 0.1082
Zr 0.5000 0.4240 0.3536
Zr 0.5000 0.4798 0.2279
Zr 0.5000 0.5202 0.7279
Zr 0.5000 0.5760 0.8536
Zr 0.5000 0.5852 0.6082
Zr 0.5000 0.7411 0.3175
Zr 0.5000 0.7448 0.5000
Zr 0.5000 0.7550 0.9705
Zr 0.5000 0.7579 0.1526
Zr 0.5000 0.9114 0.8611
Zr 0.5000 0.9260 0.6153
Zr 0.5000 0.9764 0.7422
As 0.0000 0.0360 0.6744
As 0.0000 0.0582 0.8113
As 0.0000 0.2318 0.0737
As 0.0000 0.2677 0.3975
As 0.0000 0.4463 0.6599
As 0.0000 0.4620 0.7962
As 0.0000 0.5380 0.2962
As 0.0000 0.5537 0.1599
As 0.0000 0.7323 0.8975
As 0.0000 0.7682 0.5737
As 0.0000 0.9418 0.3113
As 0.0000 0.9640 0.1744
As 0.5000 0.0134 0.9485
As 0.5000 0.1462 0.5632
As 0.5000 0.3570 0.9061
As 0.5000 0.4857 0.5201
As 0.5000 0.5143 0.0201
As 0.5000 0.6430 0.4061
As 0.5000 0.8538 0.0632
As 0.5000 0.9866 0.4485

magnetic moment = 0.000 μB per atom
calculated volume = 1098.6 Å³ per cell
SG = Pmc2_1 (26)
calculated formation energy = -941.3 meV/atom
crystal system = orthorhombic
polymorph energy (0 for the lowest one) = 14 meV per atom

This record from Materials Project describes a relaxed Zr3As crystal. The functional is PBE-GGA.

Cell: 11.0580 11.0580 5.4959 Å, 90.00 90.00 90.00°
Atoms (fractional coordinates):
Zr 0.0348 0.9302 0.2388
Zr 0.0698 0.5348 0.7388
Zr 0.1106 0.2763 0.0331
Zr 0.1445 0.8328 0.7143
Zr 0.1672 0.6445 0.2143
Zr 0.2237 0.1106 0.4669
Zr 0.2763 0.3894 0.4669
Zr 0.3328 0.8555 0.2143
Zr 0.3555 0.6672 0.7143
Zr 0.3894 0.2237 0.0331
Zr 0.4302 0.9652 0.7388
Zr 0.4652 0.5698 0.2388
Zr 0.5348 0.4302 0.7612
Zr 0.5698 0.0348 0.2612
Zr 0.6106 0.7763 0.9669
Zr 0.6445 0.3328 0.2857
Zr 0.6672 0.1445 0.7857
Zr 0.7237 0.6106 0.5331
Zr 0.7763 0.8894 0.5331
Zr 0.8328 0.3555 0.7857
Zr 0.8555 0.1672 0.2857
Zr 0.8894 0.7237 0.9669
Zr 0.9302 0.4652 0.2612
Zr 0.9652 0.0698 0.7612
As 0.0438 0.2907 0.5379
As 0.2093 0.0438 0.9621
As 0.2907 0.4562 0.9621
As 0.4562 0.2093 0.5379
As 0.5438 0.7907 0.4621
As 0.7093 0.5438 0.0379
As 0.7907 0.9562 0.0379
As 0.9562 0.7093 0.4621

calculated volume = 672.0 Å³ per cell
SG = P4_2/n (86)
calculated formation energy = -745.8 meV/atom
crystal system = tetragonal

This record from Materials Project describes a relaxed Zr8As5 crystal. The functional is PBE-GGA.

Cell: 10.2377 3.7493 28.8255 Å, 90.00 90.84 90.00°
Atoms (fractional coordinates):
Zr 0.0000 0.0000 0.0000
Zr 0.0020 0.0000 0.4428
Zr 0.0021 0.5000 0.7352
Zr 0.0167 0.5000 0.9172
Zr 0.0849 0.0000 0.1716
Zr 0.1621 0.5000 0.6269
Zr 0.1801 0.5000 0.3786
Zr 0.2108 0.5000 0.5051
Zr 0.2484 0.5000 0.0112
Zr 0.2504 0.0000 0.2834
Zr 0.2518 0.0000 0.7839
Zr 0.3281 0.5000 0.8819
Zr 0.3365 0.5000 0.1265
Zr 0.4072 0.0000 0.6704
Zr 0.4973 0.5000 0.2353
Zr 0.4966 0.5000 0.4189
Zr 0.5000 0.0000 0.5000
Zr 0.5034 0.5000 0.5811
Zr 0.5027 0.5000 0.7647
Zr 0.5928 0.0000 0.3296
Zr 0.6635 0.5000 0.8735
Zr 0.6719 0.5000 0.1181
Zr 0.7482 0.0000 0.2161
Zr 0.7496 0.0000 0.7166
Zr 0.7516 0.5000 0.9888
Zr 0.7892 0.5000 0.4949
Zr 0.8199 0.5000 0.6214
Zr 0.8379 0.5000 0.3731
Zr 0.9151 0.0000 0.8284
Zr 0.9833 0.5000 0.0828
Zr 0.9980 0.0000 0.5572
Zr 0.9979 0.5000 0.2648
As 0.0204 0.0000 0.3378
As 0.1080 0.5000 0.8290
As 0.1826 0.0000 0.0796
As 0.2206 0.0000 0.9412
As 0.2381 0.5000 0.2139
As 0.2616 0.5000 0.7150
As 0.2874 0.0000 0.4389
As 0.2980 0.0000 0.5746
As 0.4005 0.5000 0.3285
As 0.4816 0.0000 0.8373
As 0.5184 0.0000 0.1627
As 0.5995 0.5000 0.6715
As 0.7020 0.0000 0.4254
As 0.7126 0.0000 0.5611
As 0.7384 0.5000 0.2850
As 0.7619 0.5000 0.7861
As 0.7794 0.0000 0.0588
As 0.8174 0.0000 0.9204
As 0.8920 0.5000 0.1710
As 0.9796 0.0000 0.6622

magnetic moment = 0.000 μB per atom
calculated volume = 1106.3 Å³ per cell
SG = P2/m (10)
calculated formation energy = -955.7 meV/atom
crystal system = monoclinic
polymorph energy (0 for the lowest one) = 0 meV per atom